No. 1
MnZn13: optimized geometry, PBE. Values from VASP.

Output
Energy above the most stable polymorph in this dataset = 0.0 meV/atom
E_form = -0.02 eV/atom
Final energy = -1.85 eV/atom

Cell and atoms, written as Quantum ESPRESSO input:
```
&SYSTEM
  ibrav = 0, nat = 14, ntyp = 2
/
ATOMIC_SPECIES
Mn 54.94 Mn.upf
Zn 65.41 Zn.upf
ATOMIC_POSITIONS crystal
Mn 0.000 0.000 0.000
Zn 0.000 0.000 0.500
Zn 0.003 0.644 0.698
Zn 0.219 0.626 0.179
Zn 0.221 0.221 0.863
Zn 0.356 0.997 0.302
Zn 0.374 0.781 0.821
Zn 0.387 0.387 0.567
Zn 0.613 0.613 0.433
Zn 0.626 0.219 0.179
Zn 0.644 0.003 0.698
Zn 0.779 0.779 0.137
Zn 0.781 0.374 0.821
Zn 0.997 0.356 0.302
CELL_PARAMETERS angstrom
5.411 -3.803 0.000
5.411 3.803 0.000
-0.940 0.000 5.092
```

No. 2
Cs2MoS4: optimized geometry, PBE. Values from VASP.

Output
E_form = -1.28 eV/atom
Final energy = -5.16 eV/atom

Cell and atoms, written as Quantum ESPRESSO input:
```
&SYSTEM
  ibrav = 0, nat = 28, ntyp = 3
/
ATOMIC_SPECIES
Cs 132.91 Cs.upf
Mo 95.94 Mo.upf
S 32.06 S.upf
ATOMIC_POSITIONS crystal
Cs 0.034 0.250 0.169
Cs 0.156 0.750 0.399
Cs 0.344 0.250 0.899
Cs 0.466 0.750 0.669
Cs 0.534 0.250 0.331
Cs 0.656 0.750 0.101
Cs 0.844 0.250 0.601
Cs 0.966 0.750 0.831
Mo 0.247 0.750 0.079
Mo 0.253 0.250 0.579
Mo 0.747 0.750 0.421
Mo 0.753 0.250 0.921
S 0.036 0.750 0.104
S 0.167 0.008 0.649
S 0.167 0.492 0.649
S 0.209 0.250 0.415
S 0.291 0.750 0.915
S 0.333 0.508 0.149
S 0.333 0.992 0.149
S 0.464 0.250 0.604
S 0.536 0.750 0.396
S 0.667 0.008 0.851
S 0.667 0.492 0.851
S 0.709 0.250 0.085
S 0.791 0.750 0.585
S 0.833 0.508 0.351
S 0.833 0.992 0.351
S 0.964 0.250 0.896
CELL_PARAMETERS angstrom
10.326 0.000 0.000
0.000 7.396 0.000
0.000 0.000 13.145
```

No. 3
YLuB8Rh8: optimized geometry, PBE. Values from VASP.

Output
E_form = -0.57 eV/atom
Final energy = -7.43 eV/atom

Cell and atoms, written as Quantum ESPRESSO input:
```
&SYSTEM
  ibrav = 0, nat = 18, ntyp = 4
/
ATOMIC_SPECIES
Y 88.91 Y.upf
Lu 174.97 Lu.upf
B 10.81 B.upf
Rh 102.91 Rh.upf
ATOMIC_POSITIONS crystal
Y 0.000 0.000 0.000
Lu 0.500 0.500 0.500
B 0.000 0.331 0.350
B 0.000 0.669 0.350
B 0.169 0.500 0.849
B 0.331 0.000 0.650
B 0.500 0.169 0.151
B 0.500 0.831 0.151
B 0.669 0.000 0.650
B 0.831 0.500 0.849
Rh 0.000 0.249 0.643
Rh 0.000 0.751 0.643
Rh 0.249 0.000 0.357
Rh 0.252 0.500 0.146
Rh 0.500 0.252 0.854
Rh 0.500 0.748 0.854
Rh 0.748 0.500 0.146
Rh 0.751 0.000 0.357
CELL_PARAMETERS angstrom
5.342 0.000 0.000
0.000 5.342 0.000
0.000 0.000 7.452
```

No. 4
AsPOs: optimized geometry, PBE. Values from VASP.

Output
E_form = -0.32 eV/atom
Final energy = -7.42 eV/atom

Cell and atoms, written as Quantum ESPRESSO input:
```
&SYSTEM
  ibrav = 0, nat = 6, ntyp = 3
/
ATOMIC_SPECIES
As 74.92 As.upf
P 30.97 P.upf
Os 190.23 Os.upf
ATOMIC_POSITIONS crystal
As 0.171 0.000 0.137
As 0.829 0.000 0.863
P 0.335 0.500 0.628
P 0.665 0.500 0.372
Os 0.000 0.000 0.500
Os 0.500 0.500 0.000
CELL_PARAMETERS angstrom
5.310 0.000 0.000
0.000 3.001 0.000
-0.217 0.000 6.100
```

No. 5
MgSi2: optimized geometry, PBE. Values from VASP.

Output
Energy above the most stable polymorph in this dataset = 162.5 meV/atom
E_form = 0.24 eV/atom
Final energy = -3.96 eV/atom

Cell and atoms, written as Quantum ESPRESSO input:
```
&SYSTEM
  ibrav = 0, nat = 12, ntyp = 2
/
ATOMIC_SPECIES
Mg 24.30 Mg.upf
Si 28.09 Si.upf
ATOMIC_POSITIONS crystal
Mg 0.000 0.000 0.000
Mg 0.000 0.235 0.514
Mg 0.000 0.500 0.286
Mg 0.000 0.765 0.514
Si 0.500 0.000 0.334
Si 0.500 0.000 0.674
Si 0.500 0.239 0.176
Si 0.500 0.250 0.840
Si 0.500 0.500 0.627
Si 0.500 0.500 0.967
Si 0.500 0.750 0.840
Si 0.500 0.761 0.176
CELL_PARAMETERS angstrom
2.780 0.000 0.000
0.000 9.175 0.000
0.000 0.000 7.734
```

No. 6
TeMo2SeS2: optimized geometry, PBE. Values from VASP.

Output
E_form = -0.79 eV/atom
Final energy = -6.72 eV/atom

Cell and atoms, written as Quantum ESPRESSO input:
```
&SYSTEM
  ibrav = 0, nat = 12, ntyp = 4
/
ATOMIC_SPECIES
Te 127.60 Te.upf
Mo 95.94 Mo.upf
Se 78.96 Se.upf
S 32.06 S.upf
ATOMIC_POSITIONS crystal
Te 0.000 0.000 0.000
Te 0.000 0.000 0.102
Mo 0.000 0.000 0.487
Mo 0.000 0.000 0.863
Mo 0.333 0.667 0.051
Mo 0.333 0.667 0.675
Se 0.000 0.000 0.630
Se 0.000 0.000 0.720
S 0.333 0.667 0.447
S 0.333 0.667 0.528
S 0.333 0.667 0.822
S 0.333 0.667 0.904
CELL_PARAMETERS angstrom
3.309 0.000 0.000
-1.655 2.866 0.000
0.000 0.000 37.583
```